Entry 1:
Material: Nb4CrSi3
Method: DFT, PBE
State: relaxed

CIF file:
```
data_Nb4CrSi3
_space_group_name_H-M_alt 'I 4/m c m'
_space_group_IT_number 140
_space_group_name_Hall '-I 4 2c'
_cell_length_a 9.946
_cell_length_b 9.946
_cell_length_c 4.950
_cell_angle_alpha 90.00
_cell_angle_beta 90.00
_cell_angle_gamma 90.00
loop_
_atom_site_label
_atom_site_type_symbol
_atom_site_fract_x
_atom_site_fract_y
_atom_site_fract_z
Nb1 Nb 0.081 0.221 0.000
Cr1 Cr 0.000 0.500 0.250
Si1 Si 0.000 0.000 0.250
Si2 Si 0.154 0.346 0.500
```

Output
MP2020-corrected energy: -8.854 eV per atom
E_tot: -8.881 eV/atom
Total magnetic moment: 0.3 Bohr magnetons per cell
Formation enthalpy at 0 K: -0.56 eV per atom

Entry 2:
Material: Cd4FeS5
Method: DFT, PBE
State: relaxed

CIF file:
```
data_Cd4FeS5
_space_group_name_H-M_alt 'C 1 m 1'
_space_group_IT_number 8
_space_group_name_Hall 'C -2y'
_cell_length_a 35.654
_cell_length_b 4.147
_cell_length_c 6.795
_cell_angle_alpha 90.00
_cell_angle_beta 90.73
_cell_angle_gamma 90.00
loop_
_atom_site_label
_atom_site_type_symbol
_atom_site_fract_x
_atom_site_fract_y
_atom_site_fract_z
Cd1 Cd 0.000 0.000 0.000
Cd2 Cd 0.032 0.500 0.495
Cd3 Cd 0.102 0.500 0.998
Cd4 Cd 0.135 0.000 0.497
Cd5 Cd 0.202 0.000 0.998
Cd6 Cd 0.239 0.500 0.496
Cd7 Cd 0.304 0.500 0.003
Cd8 Cd 0.402 0.000 0.004
Fe1 Fe 0.338 0.000 0.495
Fe2 Fe 0.431 0.500 0.501
S1 S 0.034 0.500 0.875
S2 S 0.100 0.500 0.376
S3 S 0.135 0.000 0.874
S4 S 0.203 0.000 0.376
S5 S 0.236 0.500 0.876
S6 S 0.309 0.500 0.388
S7 S 0.335 0.000 0.846
S8 S 0.402 0.000 0.389
S9 S 0.434 0.500 0.848
S10 S 0.494 0.500 0.380
```

Output
MP2020-corrected energy: -3.987 eV per atom
E_tot: -3.736 eV/atom
Total magnetic moment: 16.0 Bohr magnetons per cell
Formation enthalpy at 0 K: -0.70 eV per atom